Version 1
Entry from the Materials Project: LiMnPCO7 after structural relaxation (PBE with a Hubbard U).

abc: 9.4856 6.2443 10.2035
angles: 90.00 118.35 90.00
Fractional coordinates of all 44 atoms:
Li 0.2387 0.0320 0.4954
Li 0.2387 0.4680 0.9954
Li 0.7613 0.5320 0.0046
Li 0.7613 0.9680 0.5046
Mn 0.1708 0.7493 0.1885
Mn 0.1708 0.7507 0.6885
Mn 0.8292 0.2493 0.3115
Mn 0.8292 0.2507 0.8115
P 0.0752 0.2504 0.1761
P 0.0752 0.2496 0.6761
P 0.9248 0.7504 0.3239
P 0.9248 0.7496 0.8239
C 0.4521 0.7416 0.8715
C 0.4521 0.7584 0.3715
C 0.5479 0.2416 0.6285
C 0.5479 0.2584 0.1285
O 0.0370 0.2400 0.3090
O 0.0370 0.2600 0.8090
O 0.0852 0.7278 0.9693
O 0.0852 0.7722 0.4693
O 0.1755 0.0537 0.1813
O 0.1755 0.4463 0.6813
O 0.1877 0.0595 0.6893
O 0.1877 0.4405 0.1893
O 0.3296 0.7351 0.9014
O 0.3296 0.7649 0.4014
O 0.3977 0.7438 0.2264
O 0.3977 0.7562 0.7264
O 0.4063 0.2334 0.5332
O 0.4063 0.2666 0.0332
O 0.5937 0.7334 0.9668
O 0.5937 0.7666 0.4668
O 0.6023 0.2438 0.2736
O 0.6023 0.2562 0.7736
O 0.6704 0.2351 0.5986
O 0.6704 0.2649 0.0986
O 0.8123 0.5595 0.8107
O 0.8123 0.9405 0.3107
O 0.8245 0.5537 0.3187
O 0.8245 0.9463 0.8187
O 0.9148 0.2278 0.5307
O 0.9148 0.2722 0.0307
O 0.9630 0.7400 0.1910
O 0.9630 0.7600 0.6910

***

Version 2
Entry from the Materials Project: LiMnPCO7 after structural relaxation (PBE with a Hubbard U).

abc: 5.1852 6.2297 8.6058
angles: 90.88 93.72 90.93
Fractional coordinates of all 22 atoms:
Li 0.2274 0.0420 0.2887
Li 0.7726 0.9580 0.7113
Mn 0.2090 0.7446 0.8378
Mn 0.7910 0.2554 0.1622
P 0.2772 0.2447 0.9312
P 0.7228 0.7553 0.0688
C 0.2642 0.7713 0.5623
C 0.7358 0.2287 0.4377
O 0.0389 0.7479 0.6247
O 0.1387 0.2341 0.0865
O 0.1933 0.0545 0.8193
O 0.2027 0.4413 0.8343
O 0.2940 0.8039 0.4254
O 0.4272 0.7649 0.0277
O 0.4555 0.7564 0.6723
O 0.5445 0.2436 0.3277
O 0.5728 0.2351 0.9723
O 0.7060 0.1961 0.5746
O 0.7973 0.5587 0.1657
O 0.8067 0.9455 0.1807
O 0.8613 0.7659 0.9135
O 0.9611 0.2521 0.3753

***

Stability verdict: version 2, ahead by 11 meV/atom

***

Version 1
Entry from the Materials Project: Li2NiC2O6 after structural relaxation (PBE with a Hubbard U).

abc: 5.3174 6.2080 8.2795
angles: 82.58 76.49 65.75
Fractional coordinates of all 22 atoms:
Li 0.0000 0.0000 0.0000
Li 0.1562 0.5346 0.5314
Li 0.3436 0.9173 0.3125
Li 0.5682 0.5041 0.8207
Ni 0.0304 0.5140 0.1688
Ni 0.6583 0.0350 0.6659
C 0.4206 0.1262 0.9630
C 0.6570 0.4610 0.4532
C 0.8087 0.9270 0.3721
C 0.9310 0.6180 0.8852
O 0.1507 0.6328 0.9213
O 0.2885 0.1663 0.1162
O 0.3119 0.0723 0.8573
O 0.4895 0.5487 0.3517
O 0.5531 0.9772 0.4531
O 0.5600 0.3927 0.6039
O 0.6652 0.1379 0.9057
O 0.7719 0.5488 0.0037
O 0.8689 0.6687 0.7384
O 0.8890 0.8636 0.2185
O 0.9186 0.4399 0.4122
O 0.9836 0.9395 0.4528

***

Version 2
Entry from the Materials Project: Li2NiC2O6 after structural relaxation (PBE with a Hubbard U).

abc: 5.1827 6.4386 15.5172
angles: 89.97 90.06 66.68
Fractional coordinates of all 44 atoms:
Li 0.3391 0.2638 0.4621
Li 0.3392 0.2639 0.9621
Li 0.1519 0.2486 0.2120
Li 0.1518 0.2486 0.7120
Li 0.8223 0.7991 0.2820
Li 0.8223 0.7989 0.7820
Li 0.6578 0.7371 0.0369
Li 0.6577 0.7370 0.5369
Ni 0.4981 0.5016 0.7508
Ni 0.9970 0.0044 0.0002
Ni 0.4984 0.5014 0.2510
Ni 0.9962 0.0049 0.5002
C 0.7087 0.1375 0.1315
C 0.7085 0.1376 0.6316
C 0.7879 0.3659 0.3812
C 0.7879 0.3658 0.8811
C 0.2087 0.6390 0.1195
C 0.2085 0.6391 0.6195
C 0.2862 0.8678 0.3693
C 0.2864 0.8676 0.8692
O 0.9651 0.1235 0.1281
O 0.9649 0.1236 0.6281
O 0.6027 0.0971 0.0599
O 0.6024 0.0973 0.5600
O 0.5661 0.1807 0.2024
O 0.5659 0.1806 0.7025
O 0.9321 0.3207 0.4517
O 0.9322 0.3205 0.9517
O 0.8925 0.4046 0.3093
O 0.8925 0.4045 0.8093
O 0.5298 0.3826 0.3783
O 0.5297 0.3826 0.8783
O 0.4666 0.6213 0.1229
O 0.4666 0.6212 0.6229
O 0.1036 0.5969 0.1912
O 0.1035 0.5968 0.6912
O 0.4318 0.8187 0.2993
O 0.4320 0.8186 0.7991
O 0.0626 0.6884 0.0495
O 0.0624 0.6886 0.5496
O 0.3908 0.9104 0.4409
O 0.3911 0.9101 0.9408
O 0.0284 0.8852 0.3724
O 0.0286 0.8849 0.8724

***

Stability verdict: version 2, ahead by 15 meV/atom